1.
4
Lattice="0.845 -2.455 2.590 1.189 -2.364 -2.628 3.003 2.009 0.924" Properties=species:S:1:pos:R:3 comment="PuCoC2, optimized geometry, DFT meta-GGA r2SCAN" m_tot_mub_per_cell=4.9 total_energy_ha_per_atom=-1.107 vol_a3_per_atom=12.31 formation_energy_ev_per_atom=-0.2557 pbc="T T T"
C 2.806 -2.317 -0.516
Pu 2.995 1.991 0.909
C 1.519 -2.208 0.008
Co 2.721 -0.916 0.840

2.
8
Lattice="3.343 0.000 0.000 0.000 3.343 0.000 0.000 0.000 7.181" Properties=species:S:1:pos:R:3 comment="ScCoC2, optimized geometry, DFT meta-GGA r2SCAN" m_tot_mub_per_cell=0.0 total_energy_ha_per_atom=-0.422 vol_a3_per_atom=10.03 formation_energy_ev_per_atom=-0.3487 pbc="T T T"
C 0.836 0.836 2.490
Sc 0.836 0.836 4.699
C 0.836 0.836 1.076
Sc 2.507 2.507 2.482
C 2.507 2.507 4.692
Co 2.507 0.836 0.000
Co 0.836 2.507 0.000
C 2.507 2.507 6.105

3.
4
Lattice="0.355 0.704 3.747 1.322 3.463 -0.776 -3.763 0.306 0.299" Properties=species:S:1:pos:R:3 comment="ThCoC2, optimized geometry, DFT meta-GGA r2SCAN" m_tot_mub_per_cell=0.0 total_energy_ha_per_atom=-0.992 vol_a3_per_atom=13.14 formation_energy_ev_per_atom=-0.3382 pbc="T T T"
Co -1.583 1.901 1.749
Th 1.315 3.459 -0.774
C -0.427 3.446 1.350
C 0.337 2.266 1.499

4.
6
Lattice="3.627 0.000 0.000 0.000 3.627 0.000 0.000 0.000 6.915" Properties=species:S:1:pos:R:3 comment="YCoC, optimized geometry, DFT meta-GGA r2SCAN" m_tot_mub_per_cell=2.0 total_energy_ha_per_atom=-0.546 vol_a3_per_atom=15.16 formation_energy_ev_per_atom=-0.3526 pbc="T T T"
Y 0.000 0.000 5.186
Co 1.814 1.814 3.457
Y 0.000 0.000 1.729
C 0.000 1.814 0.000
C 1.814 0.000 3.457
Co 1.814 1.814 0.000

5.
29
Lattice="-1.980 -0.706 7.111 0.459 -6.605 3.338 5.165 -1.182 5.187" Properties=species:S:1:pos:R:3 comment="Cr23C6, optimized geometry, DFT meta-GGA r2SCAN" m_tot_mub_per_cell=0.0 total_energy_ha_per_atom=-0.510 vol_a3_per_atom=9.94 formation_energy_ev_per_atom=0.1372 pbc="T T T"
C 3.512 -5.820 8.133
C 3.308 -2.884 6.649
Cr 3.201 -4.922 6.292
Cr 1.759 -0.402 1.767
Cr 0.911 -2.123 3.909
Cr -0.847 -7.071 8.027
Cr -0.674 -0.241 2.422
Cr 1.388 -3.234 5.954
Cr 3.865 -7.385 6.759
Cr 0.459 -6.605 3.338
Cr -0.372 -4.596 4.623
Cr 2.257 -5.259 9.682
Cr 1.607 -6.384 7.546
Cr 2.062 -4.758 3.968
Cr 3.562 -3.029 4.558
Cr 2.038 -2.109 8.091
Cr -0.206 -4.696 7.209
Cr 5.468 -5.537 7.389
Cr 0.454 -0.868 6.456
Cr 2.732 -1.020 5.843
Cr 3.851 -3.798 8.428
Cr 0.443 -3.571 9.345
C 0.132 -2.673 7.504
Cr -1.149 -2.716 5.826
Cr 0.156 -2.250 1.137
Cr 2.733 -6.370 11.728
C 0.336 -5.609 8.988
C 2.428 -3.198 9.810
C 1.216 -5.295 5.827

6.
3
Lattice="-1.434 -0.458 -2.379 -0.176 -1.838 2.125 -3.295 2.136 1.575" Properties=species:S:1:pos:R:3 comment="Cr2C, optimized geometry, DFT meta-GGA r2SCAN" m_tot_mub_per_cell=0.0 total_energy_ha_per_atom=-0.486 vol_a3_per_atom=9.68 formation_energy_ev_per_atom=0.1281 pbc="T T T"
Cr -3.077 0.231 1.810
Cr -1.827 -0.391 -0.489
C -1.648 1.068 0.787